Entry from the Materials Project: Fe3NiSb2P6O24 after structural relaxation (PBE with a Hubbard U).

```
Fe3NiSb2P6O24
1.0
4.354 2.514 7.215
-4.354 2.514 7.215
0.000 -5.027 7.215
Fe Ni Sb P O
3 1 2 6 24
Cartesian
0.000 0.000 0.000
0.000 0.000 4.396
0.000 0.000 10.852
0.000 0.000 15.224
0.000 0.000 7.575
0.000 0.000 18.340
-3.076 0.324 9.443
-1.265 -2.199 13.033
1.258 -2.826 9.443
-1.272 2.195 13.033
1.818 2.502 9.442
2.537 0.004 13.033
-3.503 1.026 8.154
-0.858 -1.251 5.851
-2.844 -2.372 12.938
-3.505 1.042 10.712
0.863 -3.547 8.154
-1.524 0.143 9.371
-0.654 1.368 5.851
-0.870 -1.475 11.747
0.851 -3.557 10.712
0.638 -1.392 9.371
1.512 -0.118 5.851
-0.863 -1.535 14.324
-0.843 1.491 11.747
-1.517 -0.144 16.759
0.886 1.249 9.371
-0.898 1.515 14.324
1.713 -0.016 11.747
-0.632 3.649 12.938
0.883 -1.242 16.759
2.640 2.520 8.154
1.761 0.020 14.324
3.476 -1.278 12.938
0.634 1.385 16.759
2.655 2.515 10.712
```

## Properties
M_tot   16.0 μB/f.u.
Energy of formation   -2.251 eV/atom
Volume   473.7 Å³ per cell